No. 1
## Sm2O3 (PBE)

Data for a relaxed Sm2O3 crystal.

Summary:
Space-group type: P-4m2, No. 115
Volume: 17.3 Å³/atom
Formation energy from the elements: -3.646 eV per atom
E_tot: -8.09 eV per atom
Total energy after the MP2020 corrections: -0.312 hartree per atom

```
Sm2O3
1.0
3.892 0.000 0.000
0.000 3.892 0.000
0.000 0.000 5.714
Sm O
2 3
direct
0.000 0.500 0.213 Sm
0.500 0.000 0.787 Sm
0.000 0.000 0.000 O
0.000 0.000 0.500 O
0.500 0.500 0.000 O
```

No. 2
## Rb2ScAuBr6 (PBE)

Data for a relaxed Rb2ScAuBr6 crystal.

Summary:
Space-group type: Fm-3m, No. 225
Volume: 33.8 Å³/atom
Formation energy from the elements: -1.682 eV per atom
E_tot: -3.50 eV per atom
Total energy after the MP2020 corrections: -0.140 hartree per atom

```
Rb2ScAuBr6
1.0
0.000 5.528 5.528
5.528 0.000 5.528
5.528 5.528 0.000
Rb Sc Au Br
2 1 1 6
direct
0.250 0.250 0.250 Rb
0.750 0.750 0.750 Rb
0.000 0.000 0.000 Sc
0.500 0.500 0.500 Au
0.242 0.242 0.758 Br
0.242 0.758 0.242 Br
0.242 0.758 0.758 Br
0.758 0.242 0.242 Br
0.758 0.242 0.758 Br
0.758 0.758 0.242 Br
```

No. 3
## Na10Y4Ta4Si9S3O48 (PBE)

Data for a relaxed Na10Y4Ta4Si9S3O48 crystal.

Summary:
Space-group type: P1, No. 1
Volume: 14.5 Å³/atom
Formation energy from the elements: -2.926 eV per atom
E_tot: -7.44 eV per atom
Total energy after the MP2020 corrections: -0.289 hartree per atom

```
Na10Y4Ta4Si9S3O48
1.0
9.220 0.000 0.000
0.006 16.063 0.000
0.045 0.458 22.966
Na Y Ta Si S O
30 12 12 27 9 144
direct
0.000 0.000 0.000 Na
0.002 0.667 0.667 Na
0.014 0.973 0.340 Na
0.133 0.472 0.839 Na
0.137 0.810 0.173 Na
0.144 0.838 0.833 Na
0.150 0.500 0.501 Na
0.170 0.142 0.846 Na
0.305 0.332 0.251 Na
0.314 0.985 0.422 Na
0.331 0.335 0.753 Na
0.335 0.669 0.588 Na
0.342 0.663 0.091 Na
0.347 0.996 0.924 Na
0.475 0.142 0.344 Na
0.490 0.837 0.340 Na
0.501 0.498 0.000 Na
0.513 0.167 0.668 Na
0.514 0.473 0.339 Na
0.637 0.310 0.172 Na
0.651 0.000 0.501 Na
0.663 0.333 0.840 Na
0.805 0.832 0.251 Na
0.814 0.485 0.421 Na
0.817 0.838 0.754 Na
0.827 0.492 0.919 Na
0.832 0.167 0.591 Na
0.841 0.164 0.089 Na
0.974 0.643 0.344 Na
0.989 0.337 0.340 Na
0.313 0.316 0.111 Y
0.324 0.657 0.446 Y
0.326 0.983 0.274 Y
0.327 0.654 0.947 Y
0.328 0.983 0.776 Y
0.329 0.318 0.613 Y
0.814 0.815 0.112 Y
0.819 0.484 0.777 Y
0.824 0.156 0.945 Y
0.824 0.157 0.446 Y
0.826 0.483 0.274 Y
0.829 0.820 0.613 Y
0.308 0.981 0.074 Ta
0.312 0.647 0.737 Ta
0.318 0.310 0.404 Ta
0.335 0.309 0.903 Ta
0.337 0.652 0.241 Ta
0.345 0.978 0.573 Ta
0.807 0.479 0.072 Ta
0.818 0.811 0.404 Ta
0.820 0.152 0.742 Ta
0.837 0.152 0.241 Ta
0.839 0.812 0.907 Ta
0.840 0.478 0.572 Ta
0.020 0.989 0.178 Si
0.029 0.653 0.843 Si
0.032 0.318 0.510 Si
0.120 0.152 0.343 Si
0.122 0.818 0.014 Si
0.124 0.485 0.678 Si
0.171 0.797 0.339 Si
0.185 0.166 0.010 Si
0.186 0.503 0.346 Si
0.186 0.834 0.680 Si
0.464 0.166 0.513 Si
0.466 0.503 0.847 Si
0.468 0.833 0.179 Si
0.520 0.489 0.178 Si
0.531 0.149 0.843 Si
0.532 0.818 0.510 Si
0.618 0.317 0.013 Si
0.620 0.652 0.343 Si
0.633 0.989 0.677 Si
0.671 0.297 0.339 Si
0.685 0.333 0.679 Si
0.686 0.003 0.346 Si
0.686 0.666 0.011 Si
0.962 0.002 0.846 Si
0.965 0.666 0.514 Si
0.968 0.334 0.179 Si
0.980 0.297 0.840 Si
0.166 0.461 0.007 S
0.168 0.127 0.674 S
0.485 0.129 0.174 S
0.485 0.461 0.507 S
0.485 0.794 0.841 S
0.667 0.628 0.674 S
0.668 0.959 0.007 S
0.985 0.629 0.174 S
0.985 0.960 0.506 S
0.005 0.469 0.014 O
0.005 0.832 0.955 O
0.007 0.499 0.620 O
0.008 0.134 0.677 O
0.008 0.170 0.285 O
0.014 0.487 0.337 O
0.016 0.140 0.006 O
0.017 0.809 0.673 O
0.021 0.127 0.397 O
0.030 0.815 0.072 O
0.031 0.485 0.736 O
0.116 0.979 0.236 O
0.133 0.320 0.566 O
0.134 0.642 0.507 O
0.135 0.983 0.837 O
0.136 0.644 0.896 O
0.137 0.316 0.174 O
0.141 0.669 0.783 O
0.141 0.999 0.120 O
0.142 0.334 0.451 O
0.145 0.968 0.511 O
0.148 0.634 0.176 O
0.161 0.297 0.848 O
0.196 0.412 0.954 O
0.203 0.554 0.405 O
0.203 0.735 0.282 O
0.207 0.244 0.351 O
0.208 0.882 0.740 O
0.210 0.073 0.625 O
0.214 0.222 0.064 O
0.215 0.911 0.016 O
0.217 0.578 0.681 O
0.223 0.091 0.730 O
0.226 0.893 0.336 O
0.231 0.546 0.002 O
0.232 0.423 0.059 O
0.234 0.744 0.007 O
0.236 0.210 0.669 O
0.236 0.411 0.673 O
0.243 0.082 0.335 O
0.254 0.218 0.950 O
0.256 0.757 0.393 O
0.256 0.893 0.623 O
0.264 0.558 0.290 O
0.275 0.412 0.351 O
0.277 0.074 0.018 O
0.278 0.743 0.684 O
0.371 0.744 0.180 O
0.372 0.412 0.850 O
0.374 0.074 0.518 O
0.391 0.560 0.790 O
0.392 0.893 0.124 O
0.394 0.222 0.454 O
0.401 0.083 0.837 O
0.417 0.544 0.502 O
0.418 0.878 0.836 O
0.424 0.421 0.559 O
0.424 0.741 0.508 O
0.424 0.757 0.894 O
0.425 0.577 0.183 O
0.426 0.406 0.172 O
0.429 0.215 0.169 O
0.431 0.095 0.230 O
0.434 0.910 0.515 O
0.437 0.550 0.906 O
0.437 0.879 0.239 O
0.439 0.076 0.125 O
0.439 0.216 0.571 O
0.446 0.245 0.849 O
0.450 0.743 0.789 O
0.452 0.410 0.453 O
0.491 0.298 0.350 O
0.503 0.332 0.954 O
0.505 0.635 0.680 O
0.507 0.966 0.012 O
0.508 0.670 0.285 O
0.514 0.999 0.617 O
0.515 0.310 0.673 O
0.515 0.987 0.337 O
0.517 0.641 0.006 O
0.521 0.627 0.397 O
0.525 0.983 0.731 O
0.528 0.319 0.072 O
0.616 0.479 0.236 O
0.623 0.135 0.900 O
0.633 0.142 0.506 O
0.634 0.819 0.565 O
0.635 0.479 0.840 O
0.638 0.816 0.174 O
0.640 0.166 0.785 O
0.640 0.498 0.119 O
0.642 0.834 0.450 O
0.645 0.803 0.846 O
0.646 0.468 0.512 O
0.647 0.133 0.176 O
0.700 0.575 0.623 O
0.703 0.054 0.405 O
0.703 0.235 0.282 O
0.703 0.906 0.956 O
0.707 0.382 0.738 O
0.707 0.744 0.351 O
0.711 0.721 0.066 O
0.715 0.410 0.016 O
0.721 0.080 0.681 O
0.726 0.393 0.336 O
0.727 0.241 0.009 O
0.729 0.592 0.727 O
0.730 0.712 0.668 O
0.730 0.923 0.060 O
0.735 0.042 0.001 O
0.740 0.912 0.673 O
0.743 0.582 0.335 O
0.753 0.393 0.622 O
0.754 0.722 0.952 O
0.756 0.257 0.393 O
0.764 0.058 0.290 O
0.773 0.242 0.682 O
0.775 0.912 0.351 O
0.776 0.574 0.018 O
0.870 0.245 0.181 O
0.875 0.574 0.519 O
0.880 0.908 0.852 O
0.891 0.393 0.124 O
0.893 0.057 0.788 O
0.895 0.722 0.455 O
0.899 0.258 0.896 O
0.916 0.043 0.502 O
0.924 0.241 0.509 O
0.924 0.391 0.835 O
0.924 0.921 0.558 O
0.925 0.077 0.183 O
0.925 0.575 0.837 O
0.927 0.906 0.171 O
0.929 0.715 0.170 O
0.932 0.596 0.231 O
0.934 0.410 0.515 O
0.937 0.379 0.239 O
0.938 0.745 0.850 O
0.939 0.716 0.572 O
0.940 0.576 0.125 O
0.942 0.232 0.785 O
0.949 0.055 0.904 O
0.951 0.910 0.453 O
0.991 0.798 0.350 O
```

No. 4
## NaSrHfNbO6 (PBE)

Data for a relaxed NaSrHfNbO6 crystal.

Summary:
Space-group type: F-43m, No. 216
Volume: 13.6 Å³/atom
Formation energy from the elements: -3.302 eV per atom
E_tot: -8.17 eV per atom
Total energy after the MP2020 corrections: -0.315 hartree per atom

```
NaSrHfNbO6
1.0
0.000 4.081 4.081
4.081 0.000 4.081
4.081 4.081 0.000
Na Sr Hf Nb O
1 1 1 1 6
direct
0.000 0.000 0.000 Na
0.500 0.500 0.500 Sr
0.250 0.250 0.250 Hf
0.750 0.750 0.750 Nb
0.504 0.504 0.996 O
0.504 0.996 0.504 O
0.504 0.996 0.996 O
0.996 0.504 0.504 O
0.996 0.504 0.996 O
0.996 0.996 0.504 O
```

No. 5
## Na3YH6C3O12 (PBE)

Data for a relaxed Na3YH6C3O12 crystal.

Summary:
Space-group type: Pna2_1, No. 33
Volume: 10.6 Å³/atom
Formation energy from the elements: -1.986 eV per atom
E_tot: -6.37 eV per atom
Total energy after the MP2020 corrections: -0.246 hartree per atom

```
Na3YH6C3O12
1.0
17.440 0.000 0.000
0.000 10.210 0.000
0.000 0.000 5.964
Na Y H C O
12 4 24 12 48
direct
0.049 0.128 0.000 Na
0.082 0.515 0.003 Na
0.132 0.358 0.493 Na
0.368 0.858 0.993 Na
0.418 0.015 0.503 Na
0.451 0.628 0.500 Na
0.549 0.372 0.000 Na
0.582 0.985 0.003 Na
0.632 0.142 0.493 Na
0.868 0.642 0.993 Na
0.918 0.485 0.503 Na
0.951 0.872 0.500 Na
0.161 0.821 0.272 Y
0.339 0.321 0.772 Y
0.661 0.679 0.272 Y
0.839 0.179 0.772 Y
0.011 0.809 0.034 H
0.069 0.773 0.830 H
0.182 0.978 0.817 H
0.229 0.052 0.007 H
0.234 0.713 0.823 H
0.239 0.118 0.521 H
0.261 0.618 0.021 H
0.266 0.213 0.323 H
0.271 0.552 0.507 H
0.318 0.478 0.317 H
0.431 0.273 0.330 H
0.489 0.309 0.534 H
0.511 0.691 0.034 H
0.569 0.727 0.830 H
0.682 0.522 0.817 H
0.729 0.448 0.007 H
0.734 0.787 0.823 H
0.739 0.382 0.521 H
0.761 0.882 0.021 H
0.766 0.287 0.323 H
0.771 0.948 0.507 H
0.818 0.022 0.317 H
0.931 0.227 0.330 H
0.989 0.191 0.534 H
0.079 0.620 0.509 C
0.098 0.050 0.495 C
0.195 0.304 0.998 C
0.305 0.804 0.498 C
0.402 0.550 0.995 C
0.421 0.120 0.009 C
0.579 0.880 0.509 C
0.598 0.450 0.495 C
0.695 0.196 0.998 C
0.805 0.696 0.498 C
0.902 0.950 0.995 C
0.921 0.380 0.009 C
0.047 0.531 0.625 O
0.061 0.997 0.329 O
0.065 0.778 0.998 O
0.069 0.746 0.550 O
0.074 0.150 0.604 O
0.125 0.593 0.343 O
0.133 0.300 0.112 O
0.165 0.996 0.546 O
0.195 0.975 0.980 O
0.204 0.379 0.824 O
0.228 0.694 0.988 O
0.245 0.731 0.551 O
0.255 0.231 0.051 O
0.272 0.194 0.488 O
0.296 0.879 0.324 O
0.305 0.475 0.480 O
0.335 0.496 0.046 O
0.367 0.800 0.612 O
0.375 0.093 0.843 O
0.426 0.650 0.104 O
0.431 0.246 0.050 O
0.435 0.278 0.498 O
0.439 0.497 0.829 O
0.453 0.031 0.125 O
0.547 0.969 0.625 O
0.561 0.503 0.329 O
0.565 0.722 0.998 O
0.569 0.754 0.550 O
0.574 0.350 0.604 O
0.625 0.907 0.343 O
0.633 0.200 0.112 O
0.665 0.504 0.546 O
0.695 0.525 0.980 O
0.704 0.121 0.824 O
0.728 0.806 0.988 O
0.745 0.769 0.551 O
0.755 0.269 0.051 O
0.772 0.306 0.488 O
0.796 0.621 0.324 O
0.805 0.025 0.480 O
0.835 0.004 0.046 O
0.867 0.700 0.612 O
0.875 0.407 0.843 O
0.926 0.850 0.104 O
0.931 0.254 0.050 O
0.935 0.222 0.498 O
0.939 0.003 0.829 O
0.953 0.469 0.125 O
```

No. 6
## BH3 (PBE)

Data for a relaxed BH3 crystal.

Summary:
Space-group type: P2_1/c, No. 14
Volume: 10.0 Å³/atom
Formation energy from the elements: -0.164 eV per atom
E_tot: -4.24 eV per atom
Total energy after the MP2020 corrections: -0.161 hartree per atom

```
BH3
1.0
4.311 0.000 0.000
0.000 6.619 0.000
-2.752 0.000 5.602
B H
4 12
direct
0.140 0.042 0.142 B
0.140 0.458 0.642 B
0.860 0.542 0.358 B
0.860 0.958 0.858 B
0.082 0.001 0.308 H
0.082 0.499 0.808 H
0.141 0.625 0.527 H
0.141 0.875 0.027 H
0.386 0.141 0.168 H
0.386 0.359 0.668 H
0.614 0.641 0.332 H
0.614 0.859 0.832 H
0.859 0.125 0.973 H
0.859 0.375 0.473 H
0.918 0.501 0.192 H
0.918 0.999 0.692 H
```